Computed, not measured: a geometry-optimized CeSiRu structure at the PBE level of DFT.

a b c (Å): 4.2156 4.2156 6.7367
angles (deg): 90.00 90.00 90.00
Closest atoms and distances in Å follow each position.
Atoms (fractional coordinates):
Ce 0.5000 0.0000 0.6796  4 Ru 3.02, 5 Si 3.11-3.32
Ce 0.0000 0.5000 0.3204  4 Ru 3.02, 5 Si 3.11-3.32
Si 0.5000 0.0000 0.1871  4 Ru 2.46
Si 0.0000 0.5000 0.8129  4 Ru 2.46
Ru 0.0000 0.0000 0.0000  4 Si 2.46
Ru 0.5000 0.5000 0.0000  4 Si 2.46

Values from the calculation:
As for the theoretical density: 7470 kg/m³. The value obtained for the calculated formation energy is -0.765 eV per atom.

=====

Computed, not measured: a geometry-optimized BaLi2Si structure at the PBE level of DFT.

a b c (Å): 4.6653 6.3740 6.6941
angles (deg): 90.00 90.00 90.00
Closest atoms and distances in Å follow each position.
Atoms (fractional coordinates):
Ba 0.0000 0.9063 0.0000  8 Li 3.43-3.68, 4 Si 3.46-3.61
Ba 0.5000 0.0937 0.5000  8 Li 3.43-3.68, 4 Si 3.46-3.61
Li 0.0000 0.4116 0.7987  3 Li 2.67-2.70, 3 Si 2.69-2.78
Li 0.5000 0.5884 0.7013  3 Li 2.67-2.70, 3 Si 2.69-2.78
Li 0.5000 0.5884 0.2987  3 Li 2.67-2.70, 3 Si 2.69-2.78
Li 0.0000 0.4116 0.2013  3 Li 2.67-2.70, 3 Si 2.69-2.78
Si 0.5000 0.3066 0.0000  6 Li 2.69-2.78
Si 0.0000 0.6934 0.5000  6 Li 2.69-2.78

Values from the calculation:
The MP2020-corrected energy comes out at -24.4 eV per cell. As for the theoretical density: 2991 kg/m³. The value obtained for the calculated formation energy is -0.257 eV per atom.

=====

Question: Look up the calculated formation energy of the first one.
Answer: -0.765 eV per atom

=====

Question: Which value of theoretical density does entry 2 give?
Answer: 2991 kg/m³

=====

Question: Among the records above, which one has the highest theoretical density?
Answer: CeSiRu

=====

Question: Look up the calculated formation energy of the second one.
Answer: -0.257 eV per atom